(1)
Here is K3Na4Si3BF22 after structural relaxation from the Materials Project database. Energies are from PBE.

Lattice parameters (Å, degrees): 10.264 10.264 10.264 148.18 64.00 126.06
Atoms (fractional coordinates):
K  0.000  0.000  0.000
K  0.536  0.162  0.374
K  0.788  0.162  0.626
Na  0.199  0.341  0.858
Na  0.264  0.594  0.670
Na  0.483  0.341  0.142
Na  0.923  0.594  0.330
Si  0.140  0.926  0.214
Si  0.241  0.741  0.500
Si  0.712  0.926  0.786
B  0.631  0.631  0.000
F  0.055  0.555  0.500
F  0.058  0.131  0.362
F  0.058  0.696  0.928
F  0.164  0.519  0.214
F  0.164  0.950  0.644
F  0.228  0.162  0.500
F  0.228  0.728  0.066
F  0.305  0.519  0.356
F  0.305  0.950  0.786
F  0.314  0.111  0.203
F  0.422  0.922  0.500
F  0.479  0.546  0.933
F  0.519  0.745  0.774
F  0.613  0.546  0.067
F  0.662  0.162  0.934
F  0.662  0.728  0.500
F  0.720  0.514  0.794
F  0.720  0.926  0.206
F  0.768  0.131  0.072
F  0.768  0.696  0.638
F  0.908  0.111  0.797
F  0.971  0.745  0.226

Summary:
Size of the total moment   0.000 μB per atom
Formation enthalpy at 0 K   -3.374 eV/atom


(2)
Here is Nd23Cd4Ru7 after structural relaxation from the Materials Project database. Energies are from PBE.

Lattice parameters (Å, degrees): 10.028 10.028 22.490 90.00 90.00 120.00
Atoms (fractional coordinates):
Nd  0.000  0.000  0.053
Nd  0.000  0.000  0.553
Nd  0.080  0.540  0.407
Nd  0.082  0.541  0.137
Nd  0.127  0.254  0.690
Nd  0.127  0.873  0.690
Nd  0.205  0.410  0.835
Nd  0.205  0.795  0.835
Nd  0.207  0.414  0.000
Nd  0.207  0.414  0.272
Nd  0.207  0.414  0.543
Nd  0.207  0.793  0.000
Nd  0.207  0.793  0.272
Nd  0.207  0.793  0.543
Nd  0.254  0.127  0.190
Nd  0.333  0.667  0.698
Nd  0.410  0.205  0.335
Nd  0.414  0.207  0.043
Nd  0.414  0.207  0.500
Nd  0.414  0.207  0.772
Nd  0.459  0.541  0.137
Nd  0.459  0.918  0.137
Nd  0.460  0.540  0.407
Nd  0.460  0.920  0.407
Nd  0.540  0.080  0.907
Nd  0.540  0.460  0.907
Nd  0.541  0.082  0.637
Nd  0.541  0.459  0.637
Nd  0.586  0.793  0.000
Nd  0.586  0.793  0.272
Nd  0.586  0.793  0.543
Nd  0.590  0.795  0.835
Nd  0.667  0.333  0.198
Nd  0.746  0.873  0.690
Nd  0.793  0.207  0.043
Nd  0.793  0.207  0.500
Nd  0.793  0.207  0.772
Nd  0.793  0.586  0.043
Nd  0.793  0.586  0.500
Nd  0.793  0.586  0.772
Nd  0.795  0.205  0.335
Nd  0.795  0.590  0.335
Nd  0.873  0.127  0.190
Nd  0.873  0.746  0.190
Nd  0.918  0.459  0.637
Nd  0.920  0.460  0.907
Cd  0.000  0.000  0.303
Cd  0.000  0.000  0.803
Cd  0.106  0.212  0.416
Cd  0.106  0.894  0.416
Cd  0.212  0.106  0.916
Cd  0.788  0.894  0.416
Cd  0.894  0.106  0.916
Cd  0.894  0.788  0.916
Ru  0.035  0.517  0.762
Ru  0.147  0.293  0.115
Ru  0.147  0.853  0.115
Ru  0.293  0.147  0.615
Ru  0.333  0.667  0.920
Ru  0.483  0.517  0.762
Ru  0.483  0.965  0.762
Ru  0.517  0.035  0.262
Ru  0.517  0.483  0.262
Ru  0.667  0.333  0.420
Ru  0.707  0.853  0.115
Ru  0.853  0.147  0.615
Ru  0.853  0.707  0.615
Ru  0.965  0.483  0.262

Summary:
Size of the total moment   0.001 μB per atom
Formation enthalpy at 0 K   -0.249 eV/atom


(3)
Here is Na3CuO2 after structural relaxation from the Materials Project database. Energies are from PBE.

Lattice parameters (Å, degrees): 9.511 9.511 4.595 90.00 90.00 90.00
Atoms (fractional coordinates):
Na  0.014  0.344  0.000
Na  0.156  0.514  0.500
Na  0.158  0.842  0.500
Na  0.342  0.342  0.000
Na  0.344  0.014  0.000
Na  0.486  0.844  0.500
Na  0.514  0.156  0.500
Na  0.656  0.986  0.000
Na  0.658  0.658  0.000
Na  0.842  0.158  0.500
Na  0.844  0.486  0.500
Na  0.986  0.656  0.000
Cu  0.167  0.167  0.500
Cu  0.333  0.667  0.000
Cu  0.667  0.333  0.000
Cu  0.833  0.833  0.500
O  0.030  0.300  0.500
O  0.200  0.530  0.000
O  0.300  0.030  0.500
O  0.470  0.800  0.000
O  0.530  0.200  0.000
O  0.700  0.970  0.500
O  0.800  0.470  0.000
O  0.970  0.700  0.500

Summary:
Formation enthalpy at 0 K   -1.361 eV/atom


(4)
Here is Ba2Tm2Zn8O13 after structural relaxation from the Materials Project database. Energies are from PBE.

Lattice parameters (Å, degrees): 6.431 6.431 10.338 90.25 90.25 60.04
Atoms (fractional coordinates):
Ba  0.000  0.000  0.000
Ba  0.705  0.705  0.493
Tm  0.004  0.004  0.640
Tm  0.692  0.692  0.126
Zn  0.018  0.514  0.816
Zn  0.190  0.709  0.312
Zn  0.198  0.198  0.276
Zn  0.359  0.359  0.055
Zn  0.394  0.394  0.571
Zn  0.514  0.018  0.816
Zn  0.536  0.536  0.810
Zn  0.709  0.190  0.312
O  0.017  0.513  0.006
O  0.147  0.688  0.503
O  0.360  0.360  0.755
O  0.368  0.858  0.719
O  0.370  0.370  0.252
O  0.392  0.859  0.282
O  0.513  0.017  0.006
O  0.529  0.529  0.000
O  0.688  0.147  0.503
O  0.858  0.368  0.719
O  0.859  0.392  0.282
O  0.867  0.867  0.774
O  0.877  0.877  0.224

Summary:
Size of the total moment   0.000 μB per atom
Formation enthalpy at 0 K   -2.395 eV/atom


(5)
Here is NaCaB5H21O12 after structural relaxation from the Materials Project database. Energies are from PBE.

Lattice parameters (Å, degrees): 6.952 8.855 13.117 75.06 86.42 71.78
Atoms (fractional coordinates):
Na  0.180  0.059  0.483
Na  0.820  0.941  0.517
Ca  0.309  0.381  0.016
Ca  0.691  0.619  0.984
B  0.116  0.846  0.738
B  0.230  0.303  0.790
B  0.238  0.738  0.924
B  0.343  0.551  0.797
B  0.425  0.681  0.263
B  0.575  0.319  0.737
B  0.657  0.449  0.203
B  0.762  0.262  0.076
B  0.770  0.697  0.210
B  0.884  0.154  0.262
H  0.025  0.723  0.044
H  0.062  0.358  0.427
H  0.081  0.419  0.177
H  0.088  0.928  0.319
H  0.129  0.102  0.845
H  0.129  0.697  0.294
H  0.153  0.334  0.463
H  0.159  0.367  0.635
H  0.190  0.375  0.196
H  0.200  0.117  0.117
H  0.316  0.067  0.116
H  0.316  0.919  0.970
H  0.333  0.792  0.594
H  0.347  0.648  0.467
H  0.368  0.679  0.513
H  0.398  0.289  0.304
H  0.407  0.178  0.536
H  0.410  0.195  0.309
H  0.431  0.112  0.589
H  0.463  0.032  0.317
H  0.491  0.022  0.885
H  0.509  0.978  0.115
H  0.537  0.968  0.683
H  0.569  0.888  0.411
H  0.590  0.805  0.691
H  0.593  0.822  0.464
H  0.602  0.711  0.696
H  0.632  0.321  0.487
H  0.653  0.352  0.533
H  0.667  0.208  0.406
H  0.684  0.081  0.030
H  0.684  0.933  0.884
H  0.800  0.883  0.883
H  0.810  0.625  0.804
H  0.841  0.633  0.365
H  0.847  0.666  0.537
H  0.871  0.303  0.706
H  0.871  0.898  0.155
H  0.912  0.072  0.681
H  0.919  0.581  0.823
H  0.938  0.642  0.573
H  0.975  0.277  0.956
O  0.000  0.026  0.345
O  0.000  0.974  0.655
O  0.082  0.358  0.700
O  0.094  0.661  0.992
O  0.128  0.875  0.835
O  0.167  0.181  0.874
O  0.214  0.699  0.716
O  0.228  0.759  0.292
O  0.230  0.434  0.839
O  0.352  0.799  0.988
O  0.393  0.605  0.888
O  0.436  0.235  0.748
O  0.469  0.525  0.252
O  0.531  0.475  0.748
O  0.564  0.765  0.252
O  0.607  0.395  0.112
O  0.648  0.201  0.012
O  0.770  0.566  0.161
O  0.772  0.241  0.708
O  0.786  0.301  0.284
O  0.833  0.819  0.126
O  0.872  0.125  0.165
O  0.906  0.339  0.008
O  0.918  0.642  0.300

Summary:
Size of the total moment   0.075 μB per atom
Formation enthalpy at 0 K   -1.221 eV/atom


(6)
Here is TmAs3 after structural relaxation from the Materials Project database. Energies are from PBE.

Lattice parameters (Å, degrees): 5.936 5.936 5.491 90.00 90.00 120.00
Atoms (fractional coordinates):
Tm  0.333  0.667  0.250
Tm  0.667  0.333  0.750
As  0.182  0.363  0.750
As  0.182  0.818  0.750
As  0.363  0.182  0.250
As  0.637  0.818  0.750
As  0.818  0.182  0.250
As  0.818  0.637  0.250

Summary:
Size of the total moment   0.000 μB per atom
Formation enthalpy at 0 K   -0.450 eV/atom


(7)
Here is NbPd4 after structural relaxation from the Materials Project database. Energies are from PBE.

Lattice parameters (Å, degrees): 11.611 11.611 11.611 14.03 14.03 14.03
Atoms (fractional coordinates):
Nb  0.000  0.000  0.000
Pd  0.200  0.200  0.200
Pd  0.399  0.399  0.399
Pd  0.601  0.601  0.601
Pd  0.800  0.800  0.800

Summary:
Size of the total moment   0.005 μB per atom
Formation enthalpy at 0 K   -0.165 eV/atom


(8)
Here is ErSnAu after structural relaxation from the Materials Project database. Energies are from PBE.

Lattice parameters (Å, degrees): 4.693 4.693 7.426 90.00 90.00 120.00
Atoms (fractional coordinates):
Er  0.000  0.000  0.000
Er  0.000  0.000  0.500
Sn  0.333  0.667  0.228
Sn  0.667  0.333  0.728
Au  0.333  0.667  0.833
Au  0.667  0.333  0.333

Summary:
Size of the total moment   0.000 μB per atom
Formation enthalpy at 0 K   -0.796 eV/atom